(1)
PBE with a Hubbard U Li2Mn2V3O12, optimized geometry; formation energy = -2230 meV/atom
1.0
-2.949 3.020 7.929
-8.591 -1.803 -2.509
1.046 -11.762 4.870
O Li V Mn
48 8 12 8
direct
0.131 0.575 0.927
0.285 0.839 0.174
0.944 0.150 0.982
0.056 0.850 0.018
0.159 0.353 0.090
0.944 0.650 0.518
0.478 0.678 0.273
0.631 0.425 0.927
0.159 0.853 0.410
0.556 0.650 0.482
0.841 0.647 0.910
0.715 0.661 0.674
0.102 0.094 0.161
0.659 0.147 0.410
0.869 0.425 0.073
0.898 0.906 0.839
0.841 0.147 0.590
0.978 0.322 0.273
0.285 0.339 0.326
0.785 0.661 0.326
0.602 0.406 0.339
0.522 0.822 0.773
0.478 0.178 0.227
0.898 0.406 0.661
0.522 0.322 0.727
0.785 0.161 0.174
0.215 0.339 0.674
0.444 0.350 0.518
0.444 0.850 0.982
0.102 0.594 0.339
0.978 0.822 0.227
0.341 0.353 0.910
0.869 0.925 0.427
0.022 0.178 0.773
0.369 0.075 0.427
0.659 0.647 0.090
0.131 0.075 0.573
0.631 0.925 0.573
0.398 0.094 0.839
0.022 0.678 0.727
0.215 0.839 0.826
0.556 0.150 0.018
0.369 0.575 0.073
0.341 0.853 0.590
0.398 0.594 0.661
0.056 0.350 0.482
0.602 0.906 0.161
0.715 0.161 0.826
0.774 0.775 0.190
0.726 0.775 0.810
0.726 0.275 0.690
0.226 0.225 0.810
0.274 0.225 0.190
0.226 0.725 0.690
0.274 0.725 0.310
0.774 0.275 0.310
0.606 0.099 0.142
0.606 0.599 0.358
0.106 0.901 0.142
0.394 0.401 0.642
0.750 0.531 0.000
0.894 0.099 0.858
0.750 0.031 0.500
0.250 0.469 0.000
0.250 0.969 0.500
0.394 0.901 0.858
0.894 0.599 0.642
0.106 0.401 0.358
0.029 0.749 0.881
0.471 0.749 0.119
0.529 0.751 0.619
0.971 0.751 0.381
0.971 0.251 0.119
0.029 0.249 0.619
0.471 0.249 0.381
0.529 0.251 0.881

---

(2)
PBE with a Hubbard U Li2Mn3WO8, optimized geometry; formation energy = -2153 meV/atom
1.0
1.100 5.092 -3.078
-1.199 -5.133 -2.972
-9.648 2.171 0.142
Mn Li O W
6 4 16 2
direct
0.830 0.659 0.713
0.830 0.170 0.713
0.170 0.341 0.213
0.170 0.830 0.213
0.659 0.830 0.213
0.341 0.170 0.713
0.000 0.000 0.985
0.000 0.000 0.485
0.667 0.333 0.406
0.333 0.667 0.906
0.653 0.827 0.586
0.827 0.653 0.086
0.040 0.520 0.356
0.480 0.520 0.356
0.000 0.000 0.795
0.347 0.173 0.086
0.333 0.667 0.115
0.000 0.000 0.295
0.667 0.333 0.615
0.480 0.960 0.356
0.827 0.173 0.086
0.960 0.480 0.856
0.173 0.347 0.586
0.520 0.040 0.856
0.173 0.827 0.586
0.520 0.480 0.856
0.667 0.333 0.986
0.333 0.667 0.486

---

(3)
PBE with a Hubbard U Li2Mn3WO8, optimized geometry; formation energy = -2127 meV/atom
1.0
-5.504 -1.055 2.403
-2.661 1.626 -5.379
0.297 -8.197 -2.920
O Li Mn W
16 4 6 2
direct
0.500 0.954 0.227
0.000 0.546 0.274
0.276 0.273 0.999
0.724 0.273 0.999
0.000 0.002 0.726
0.500 0.046 0.773
0.500 0.498 0.774
0.776 0.227 0.501
0.000 0.454 0.726
0.500 0.502 0.226
0.224 0.773 0.499
0.224 0.227 0.501
0.724 0.727 0.001
0.776 0.773 0.499
0.000 0.998 0.274
0.276 0.727 0.001
0.500 0.770 0.635
0.500 0.230 0.365
0.000 0.730 0.865
0.000 0.270 0.135
0.750 0.250 0.750
0.250 0.250 0.750
0.500 0.000 0.000
0.250 0.750 0.250
0.000 0.500 0.500
0.750 0.750 0.250
0.500 0.500 0.000
0.000 0.000 0.500

---

(4)
PBE with a Hubbard U Li2Mn3WO8, optimized geometry; formation energy = -2140 meV/atom
1.0
8.511 0.000 0.000
0.000 8.522 0.000
0.000 0.000 9.099
O Mn W Li
32 12 4 8
direct
0.404 0.636 0.116
0.135 0.139 0.346
0.904 0.864 0.884
0.117 0.346 0.116
0.350 0.363 0.368
0.612 0.608 0.869
0.365 0.861 0.846
0.883 0.846 0.384
0.617 0.154 0.884
0.149 0.881 0.630
0.894 0.103 0.121
0.650 0.863 0.132
0.388 0.108 0.631
0.372 0.896 0.404
0.596 0.136 0.384
0.128 0.104 0.904
0.394 0.397 0.879
0.606 0.897 0.621
0.150 0.637 0.868
0.649 0.619 0.370
0.351 0.119 0.130
0.628 0.396 0.096
0.383 0.654 0.616
0.865 0.639 0.154
0.851 0.381 0.870
0.850 0.137 0.632
0.106 0.603 0.379
0.096 0.364 0.616
0.112 0.892 0.131
0.888 0.392 0.369
0.872 0.604 0.596
0.635 0.361 0.654
0.621 0.129 0.620
0.379 0.629 0.880
0.872 0.364 0.625
0.121 0.371 0.380
0.130 0.606 0.636
0.370 0.394 0.136
0.128 0.864 0.875
0.628 0.636 0.125
0.630 0.894 0.364
0.870 0.106 0.864
0.879 0.871 0.120
0.372 0.136 0.375
0.871 0.624 0.383
0.129 0.124 0.117
0.371 0.876 0.617
0.629 0.376 0.883
0.498 0.990 0.999
0.002 0.010 0.499
0.254 0.749 0.253
0.502 0.490 0.501
0.998 0.510 0.001
0.746 0.249 0.247
0.246 0.251 0.753
0.754 0.751 0.747

---

(5)
PBE with a Hubbard U Li9Mn3W7O28, optimized geometry; formation energy = -2223 meV/atom
1.0
6.077 -6.073 0.000
6.077 6.073 0.000
0.009 0.000 8.591
Li O W Mn
9 28 7 3
direct
0.360 0.904 0.644
0.360 0.644 0.904
0.093 0.354 0.354
0.904 0.360 0.644
0.354 0.093 0.354
0.644 0.904 0.360
0.644 0.360 0.904
0.354 0.354 0.093
0.904 0.644 0.360
0.385 0.615 0.147
0.386 0.608 0.608
0.128 0.619 0.881
0.375 0.124 0.124
0.128 0.881 0.619
0.615 0.147 0.385
0.619 0.881 0.128
0.619 0.128 0.881
0.124 0.124 0.375
0.147 0.385 0.615
0.124 0.375 0.124
0.612 0.858 0.612
0.382 0.382 0.850
0.392 0.392 0.392
0.380 0.880 0.880
0.881 0.619 0.128
0.615 0.385 0.147
0.881 0.128 0.619
0.608 0.608 0.386
0.147 0.615 0.385
0.608 0.386 0.608
0.880 0.380 0.880
0.850 0.382 0.382
0.385 0.147 0.615
0.612 0.612 0.858
0.858 0.612 0.612
0.880 0.880 0.380
0.382 0.850 0.382
0.003 0.497 0.003
0.003 0.003 0.497
0.497 0.003 0.003
0.641 0.359 0.359
0.642 0.642 0.642
0.359 0.641 0.359
0.359 0.359 0.641
0.095 0.640 0.640
0.640 0.095 0.640
0.640 0.640 0.095

---

(6)
PBE with a Hubbard U Li3Mn3WO8, optimized geometry; formation energy = -2131 meV/atom
1.0
-3.017 4.531 2.767
-2.663 4.230 -3.508
-6.097 0.012 -0.345
Li O Mn W
3 8 3 1
direct
0.500 0.000 0.000
0.000 0.000 0.500
0.000 0.500 0.000
0.782 0.224 0.224
0.776 0.218 0.776
0.224 0.224 0.782
0.224 0.782 0.224
0.218 0.776 0.776
0.734 0.734 0.734
0.266 0.266 0.266
0.776 0.776 0.218
0.000 0.500 0.500
0.500 0.000 0.500
0.500 0.500 0.000
0.000 0.000 0.000

---

(7)
PBE with a Hubbard U Li2MnWO6, optimized geometry; formation energy = -2146 meV/atom; largest piezoelectric modulus = 2.68 C/m2
1.0
2.399 -1.604 -4.193
0.000 2.886 -4.193
8.273 1.537 4.146
Mn O Li W
2 12 4 2
direct
0.000 0.001 0.001
0.500 0.001 0.501
0.000 0.631 0.867
0.624 0.129 0.117
0.124 0.129 0.617
0.012 0.364 0.117
0.264 0.236 0.367
0.512 0.364 0.617
0.747 0.741 0.617
0.247 0.741 0.117
0.869 0.867 0.367
0.764 0.236 0.867
0.369 0.867 0.867
0.500 0.631 0.367
0.858 0.284 0.426
0.358 0.284 0.926
0.608 0.784 0.176
0.108 0.784 0.676
0.750 0.500 0.750
0.250 0.500 0.250

---

(8)
PBE with a Hubbard U Na5LiMo9O30, optimized geometry; formation energy = -2065 meV/atom
1.0
-7.409 0.000 0.000
-3.704 0.000 -9.167
-3.704 -18.961 0.000
Mo O Na Li
18 60 10 2
direct
0.651 0.787 0.799
0.878 0.244 0.500
0.018 0.432 0.597
0.765 0.788 0.593
0.700 0.287 0.701
0.447 0.788 0.407
0.110 0.912 0.300
0.562 0.787 0.201
0.628 0.744 0.000
0.608 0.288 0.907
0.012 0.287 0.299
0.203 0.932 0.097
0.978 0.912 0.700
0.549 0.432 0.403
0.928 0.412 0.800
0.865 0.932 0.903
0.104 0.288 0.093
0.660 0.412 0.200
0.564 0.275 0.203
0.949 0.899 0.606
0.826 0.296 0.601
0.677 0.796 0.899
0.594 0.629 0.800
0.777 0.629 0.200
0.227 0.129 0.300
0.796 0.399 0.106
0.939 0.085 0.900
0.098 0.284 0.001
0.129 0.782 0.101
0.588 0.423 0.495
0.152 0.899 0.394
0.473 0.429 0.701
0.531 0.929 0.601
0.208 0.775 0.703
0.017 0.775 0.297
0.713 0.621 0.607
0.571 0.121 0.893
0.089 0.782 0.899
0.665 0.621 0.393
0.846 0.908 0.800
0.308 0.121 0.107
0.539 0.929 0.399
0.696 0.408 0.300
0.644 0.129 0.700
0.449 0.577 0.200
0.878 0.296 0.399
0.647 0.929 0.201
0.617 0.284 0.999
0.189 0.429 0.101
0.480 0.282 0.399
0.161 0.275 0.797
0.088 0.585 0.600
0.424 0.929 0.799
0.896 0.408 0.700
0.866 0.784 0.501
0.780 0.794 0.704
0.526 0.796 0.101
0.972 0.294 0.204
0.805 0.399 0.894
0.756 0.121 0.508
0.239 0.282 0.601
0.024 0.077 0.700
0.865 0.621 0.008
0.744 0.923 0.995
0.989 0.423 0.505
0.514 0.621 0.992
0.899 0.077 0.300
0.734 0.294 0.796
0.350 0.784 0.499
0.333 0.923 0.005
0.976 0.085 0.100
0.426 0.794 0.296
0.382 0.429 0.899
0.246 0.908 0.200
0.326 0.585 0.400
0.974 0.577 0.800
0.098 0.429 0.299
0.123 0.121 0.492
0.201 0.598 0.000
0.282 0.602 0.804
0.644 0.106 0.093
0.116 0.602 0.196
0.451 0.098 0.500
0.562 0.102 0.304
0.406 0.606 0.593
0.987 0.606 0.407
0.250 0.106 0.907
0.336 0.102 0.696
0.795 0.410 0.000
0.045 0.910 0.500